1.
An optimized crystal structure of VH20S2N2O14. Source: the Materials Project, functional PBE with a Hubbard U.

Results
relative energy among the computed polymorphs: 0 meV per atom
formation energy: -1.312 eV/atom
total magnetic moment: 0.08 μB per atom
final energy: -5.4102 eV/atom

a b c (Å): 6.3543 12.6356 9.3303
angles (deg): 90.00 107.10 90.00
With the nearest neighbours (Å) after each atom.
Sites, in units of the cell vectors:
V 0.0000 0.0000 0.0000  6 O 2.13-2.16
V 0.0000 0.5000 0.5000  6 O 2.13-2.16
H 0.0062 0.1901 0.1428  1 O 0.99
H 0.0062 0.3099 0.6428  1 O 0.99
H 0.0625 0.1020 0.2692  1 O 1.00
H 0.0625 0.3980 0.7692  1 O 1.00
H 0.1024 0.6216 0.7541  1 O 0.99
H 0.1024 0.8784 0.2541  1 O 0.99
H 0.1991 0.6714 0.0648  1 N 1.04
H 0.1991 0.8286 0.5648  1 N 1.04
H 0.3262 0.1479 0.0230  1 O 0.99
H 0.3262 0.3521 0.5230  1 O 0.99
H 0.3293 0.5879 0.7240  1 O 0.99
H 0.3293 0.9121 0.2240  1 O 0.99
H 0.3368 0.0648 0.8977  1 O 0.99
H 0.3368 0.4352 0.3977  1 O 0.99
H 0.3674 0.5758 0.1634  1 N 1.05
H 0.3674 0.9242 0.6634  1 N 1.05
H 0.4031 0.7034 0.2251  1 N 1.04
H 0.4031 0.7966 0.7251  1 N 1.04
H 0.4627 0.6697 0.0666  1 N 1.04
H 0.4627 0.8303 0.5666  1 N 1.04
H 0.5373 0.1697 0.4334  1 N 1.04
H 0.5373 0.3303 0.9334  1 N 1.04
H 0.5969 0.2034 0.2749  1 N 1.04
H 0.5969 0.2966 0.7749  1 N 1.04
H 0.6326 0.0758 0.3366  1 N 1.05
H 0.6326 0.4242 0.8366  1 N 1.05
H 0.6632 0.5648 0.6023  1 O 0.99
H 0.6632 0.9352 0.1023  1 O 0.99
H 0.6707 0.0879 0.7760  1 O 0.99
H 0.6707 0.4121 0.2760  1 O 0.99
H 0.6738 0.6479 0.4770  1 O 0.99
H 0.6738 0.8521 0.9770  1 O 0.99
H 0.8009 0.1714 0.4352  1 N 1.04
H 0.8009 0.3286 0.9352  1 N 1.04
H 0.8976 0.1216 0.7459  1 O 0.99
H 0.8976 0.3784 0.2459  1 O 0.99
H 0.9375 0.6020 0.2308  1 O 1.00
H 0.9375 0.8980 0.7308  1 O 1.00
H 0.9938 0.6901 0.3572  1 O 0.99
H 0.9938 0.8099 0.8572  1 O 0.99
S 0.2606 0.1346 0.5910  4 O 1.48-1.51
S 0.2606 0.3654 0.0910  4 O 1.48-1.51
S 0.7394 0.6346 0.9090  4 O 1.48-1.51
S 0.7394 0.8654 0.4090  4 O 1.48-1.51
N 0.3578 0.6554 0.1311  4 H 1.04-1.05
N 0.3578 0.8446 0.6311  4 H 1.04-1.05
N 0.6422 0.1554 0.3689  4 H 1.04-1.05
N 0.6422 0.3446 0.8689  4 H 1.04-1.05
O 0.0263 0.6159 0.3364  2 H 0.99-1.00
O 0.0263 0.8841 0.8364  2 H 0.99-1.00
O 0.0514 0.1747 0.6154  1 S 1.50
O 0.0514 0.3253 0.1154  1 S 1.50
O 0.1732 0.6068 0.6751  2 H 0.99
O 0.1732 0.8932 0.1751  2 H 0.99
O 0.2147 0.0760 0.4483  1 S 1.48
O 0.2147 0.4240 0.9483  1 S 1.48
O 0.2991 0.0727 0.9929  2 H 0.99
O 0.2991 0.4273 0.4929  2 H 0.99
O 0.3775 0.0625 0.7179  1 S 1.51
O 0.3775 0.4375 0.2179  1 S 1.51
O 0.4112 0.2264 0.5902  1 S 1.50
O 0.4112 0.2736 0.0902  1 S 1.50
O 0.5888 0.7264 0.9098  1 S 1.50
O 0.5888 0.7736 0.4098  1 S 1.50
O 0.6225 0.5625 0.7821  1 S 1.51
O 0.6225 0.9375 0.2821  1 S 1.51
O 0.7009 0.5727 0.5071  2 H 0.99
O 0.7009 0.9273 0.0071  2 H 0.99
O 0.7853 0.5760 0.0517  1 S 1.48
O 0.7853 0.9240 0.5517  1 S 1.48
O 0.8268 0.1068 0.8249  2 H 0.99
O 0.8268 0.3932 0.3249  2 H 0.99
O 0.9486 0.6747 0.8846  1 S 1.50
O 0.9486 0.8253 0.3846  1 S 1.50
O 0.9737 0.1159 0.1636  2 H 0.99-1.00
O 0.9737 0.3841 0.6636  2 H 0.99-1.00

---

2.
An optimized crystal structure of Li8Mn5Fe3B8O24. Source: the Materials Project, functional PBE with a Hubbard U.

Results
relative energy among the computed polymorphs: 10 meV per atom
formation energy: -2.432 eV/atom
total magnetic moment: 0.77 μB per atom
final energy: -7.1625 eV/atom

a b c (Å): 5.2308 6.0302 16.2081
angles (deg): 82.00 89.20 89.36
With the nearest neighbours (Å) after each atom.
Sites, in units of the cell vectors:
Li 0.0000 0.0000 0.0000  4 O 1.94-2.05
Li 0.9998 0.5003 0.4969  4 O 1.96-2.04
Li 0.3005 0.8744 0.2152  4 O 1.94-2.04
Li 0.3015 0.3739 0.7171  4 O 1.93-2.05
Li 0.5001 0.7507 0.7491  4 O 1.94-2.04
Li 0.5014 0.2517 0.2463  4 O 1.95-2.04
Li 0.8015 0.6225 0.9687  4 O 1.96-2.05
Li 0.8026 0.1233 0.4655  4 O 1.93-2.06
Mn 0.3181 0.9625 0.3969  4 O 2.07-2.21
Mn 0.3200 0.4594 0.8989  4 O 2.09-2.21
Mn 0.4827 0.6629 0.5680  4 O 2.09-2.20
Mn 0.8193 0.2120 0.6473  4 O 2.09-2.20
Mn 0.9828 0.9114 0.8181  4 O 2.08-2.20
Fe 0.4894 0.1584 0.0674  4 O 2.00-2.20
Fe 0.8237 0.7087 0.1497  4 O 2.05-2.17
Fe 0.9841 0.4131 0.3182  4 O 2.02-2.20
B 0.3201 0.1528 0.5592  3 O 1.38-1.40
B 0.3232 0.6496 0.0619  3 O 1.39-1.40
B 0.4785 0.4743 0.4031  3 O 1.38-1.40
B 0.4830 0.9716 0.9071  3 O 1.38-1.40
B 0.8183 0.9020 0.3088  3 O 1.38-1.40
B 0.8207 0.4019 0.8101  3 O 1.38-1.40
B 0.9822 0.2260 0.1547  3 O 1.38-1.41
B 0.9816 0.7226 0.6554  3 O 1.38-1.40
O 0.0604 0.1730 0.5452  1 B 1.38
O 0.0608 0.6733 0.0496  1 B 1.39
O 0.2409 0.7024 0.6696  1 B 1.38
O 0.2415 0.2000 0.1661  1 B 1.38
O 0.3345 0.1041 0.9545  1 B 1.40
O 0.3336 0.6055 0.4514  1 B 1.40
O 0.3565 0.3596 0.3461  1 B 1.39
O 0.3651 0.8560 0.8498  1 B 1.39
O 0.4361 0.2710 0.6160  1 B 1.39
O 0.4461 0.7694 0.1167  1 B 1.39
O 0.4681 0.5140 0.0149  1 B 1.40
O 0.4711 0.0186 0.5132  1 B 1.40
O 0.5587 0.9246 0.2957  1 B 1.38
O 0.5612 0.4227 0.7962  1 B 1.38
O 0.7393 0.4510 0.4146  1 B 1.38
O 0.7431 0.9511 0.9198  1 B 1.38
O 0.8303 0.8565 0.7012  1 B 1.40
O 0.8364 0.3582 0.2031  1 B 1.41
O 0.8573 0.1126 0.0980  1 B 1.39
O 0.8663 0.6039 0.5983  1 B 1.39
O 0.9371 0.0178 0.3657  1 B 1.39
O 0.9375 0.5203 0.8667  1 B 1.39
O 0.9654 0.7666 0.2622  1 B 1.40
O 0.9710 0.2675 0.7639  1 B 1.40

---

3.
An optimized crystal structure of Ba2MgW2O8. Source: the Materials Project, functional PBE with a Hubbard U.

Results
relative energy among the computed polymorphs: 102 meV per atom
formation energy: -2.510 eV/atom
total magnetic moment: 0.08 μB per atom
final energy: -6.8615 eV/atom

a b c (Å): 8.7821 8.7821 6.0325
angles (deg): 92.53 92.53 27.05
With the nearest neighbours (Å) after each atom.
Sites, in units of the cell vectors:
Ba 0.0000 0.0000 0.0000  6 O 2.64-2.72
Ba 0.6092 0.6092 0.5029  6 O 2.65-2.72
Mg 0.8045 0.8045 0.7493  4 O 1.97-2.05
W 0.2170 0.2170 0.0200  5 O 1.91-2.07
W 0.3921 0.3921 0.4801  5 O 1.91-2.07
O 0.1360 0.1360 0.2397  1 W 1.96
O 0.1369 0.1369 0.7895  1 W 1.91
O 0.3041 0.3041 0.7481  2 Mg 2.05, 2 W 2.26
O 0.3051 0.3051 0.2482  2 W 1.99
O 0.4713 0.4713 0.7128  1 W 1.91
O 0.4740 0.4740 0.2629  1 W 1.96
O 0.7292 0.7292 0.9875  1 Mg 1.97, 2 W 2.07
O 0.8798 0.8798 0.5113  1 Mg 1.97, 2 W 2.07